Record 1
An optimized crystal structure of Ba4Nd2Cu6O13. Source: Materials Project, functional GGA-PBE.

## Properties
**Total magnetization**: 0.00 μB/f.u.
**Formation energy from the elements**: -2.182 eV/atom

The structure in CIF format:
```
data_Ba4Nd2Cu6O13
_cell_length_a 7.799
_cell_length_b 7.969
_cell_length_c 24.040
_cell_angle_alpha 90.00
_cell_angle_beta 90.00
_cell_angle_gamma 90.00
_space_group_name_H-M_alt 'F m m m'
_space_group_IT_number 69
_space_group_name_Hall '-F 2 2'
loop_
_atom_site_label
_atom_site_type_symbol
_atom_site_fract_x
_atom_site_fract_y
_atom_site_fract_z
Ba1 Ba 0.243 0.000 0.095
Nd1 Nd 0.250 0.000 0.250
Cu1 Cu 0.000 0.239 0.000
Cu2 Cu 0.000 0.248 0.322
O1 O 0.000 0.000 0.000
O2 O 0.000 0.000 0.185
O3 O 0.000 0.000 0.314
O4 O 0.000 0.228 0.425
O5 O 0.250 0.250 0.187
```

---

Record 2
An optimized crystal structure of Ba4PrNdCu6O14. Source: Materials Project, functional GGA-PBE.

## Properties
**Total magnetization**: 0.01 μB/f.u.
**Formation energy from the elements**: -2.150 eV/atom

The structure in CIF format:
```
data_Ba4PrNdCu6O14
_cell_length_a 3.890
_cell_length_b 3.959
_cell_length_c 23.802
_cell_angle_alpha 90.00
_cell_angle_beta 90.00
_cell_angle_gamma 90.00
_space_group_name_H-M_alt 'P m m m'
_space_group_IT_number 47
loop_
_space_group_symop_operation_xyz
'x,y,z'
'-x,-y,-z'
'-x,-y,z'
'x,y,-z'
'x,-y,-z'
'-x,y,z'
'-x,y,-z'
'x,-y,z'
loop_
_atom_site_label
_atom_site_type_symbol
_atom_site_fract_x
_atom_site_fract_y
_atom_site_fract_z
Ba1 Ba 0.000 0.000 0.160
Ba2 Ba 0.000 0.000 0.340
Pr1 Pr 0.000 0.000 0.000
Nd1 Nd 0.000 0.000 0.500
Cu1 Cu 0.500 0.500 0.077
Cu2 Cu 0.500 0.500 0.250
Cu3 Cu 0.500 0.500 0.423
O1 O 0.000 0.500 0.065
O2 O 0.000 0.500 0.436
O3 O 0.500 0.000 0.065
O4 O 0.500 0.000 0.250
O5 O 0.500 0.000 0.436
O6 O 0.500 0.500 0.171
O7 O 0.500 0.500 0.329
```

---

Record 3
An optimized crystal structure of Ba5Sr2Nd8Cu5O25. Source: Materials Project, functional GGA-PBE.

## Properties
**Total magnetization**: 0.25 μB/f.u.
**Formation energy from the elements**: -2.868 eV/atom

The structure in CIF format:
```
data_Ba5Sr2Nd8Cu5O25
_cell_length_a 6.793
_cell_length_b 33.959
_cell_length_c 5.846
_cell_angle_alpha 90.00
_cell_angle_beta 90.00
_cell_angle_gamma 90.00
_space_group_name_H-M_alt 'P b a m'
_space_group_IT_number 55
loop_
_space_group_symop_operation_xyz
'x,y,z'
'-x,-y,-z'
'-x,-y,z'
'x,y,-z'
'x+1/2,-y+1/2,-z'
'-x+1/2,y+1/2,z'
'-x+1/2,y+1/2,-z'
'x+1/2,-y+1/2,z'
loop_
_atom_site_label
_atom_site_type_symbol
_atom_site_fract_x
_atom_site_fract_y
_atom_site_fract_z
Ba1 Ba 0.000 0.000 0.000
Ba2 Ba 0.002 0.400 0.000
Ba3 Ba 0.003 0.801 0.000
Sr1 Sr 0.174 0.866 0.500
Nd1 Nd 0.171 0.065 0.500
Nd2 Nd 0.174 0.266 0.500
Nd3 Nd 0.174 0.465 0.500
Nd4 Nd 0.176 0.664 0.500
Cu1 Cu 0.000 0.500 0.000
Cu2 Cu 0.004 0.099 0.000
Cu3 Cu 0.004 0.701 0.000
O1 O 0.000 0.000 0.500
O2 O 0.008 0.202 0.500
O3 O 0.008 0.599 0.500
O4 O 0.129 0.325 0.237
O5 O 0.132 0.929 0.237
O6 O 0.137 0.527 0.242
O7 O 0.139 0.728 0.238
O8 O 0.146 0.127 0.235
```

---

Record 4
An optimized crystal structure of BaSrNdCu3O7. Source: Materials Project, functional GGA-PBE.

## Properties
**Total magnetization**: 0.00 μB/f.u.
**Formation energy from the elements**: -2.167 eV/atom

The structure in CIF format:
```
data_BaSrNdCu3O7
_cell_length_a 3.822
_cell_length_b 3.930
_cell_length_c 11.705
_cell_angle_alpha 90.00
_cell_angle_beta 90.00
_cell_angle_gamma 90.00
_space_group_name_H-M_alt 'P m m 2'
_space_group_IT_number 25
loop_
_space_group_symop_operation_xyz
'x,y,z'
'-x,-y,z'
'-x,y,z'
'x,-y,z'
loop_
_atom_site_label
_atom_site_type_symbol
_atom_site_fract_x
_atom_site_fract_y
_atom_site_fract_z
Ba1 Ba 0.000 0.000 0.000
Sr1 Sr 0.000 0.000 0.642
Nd1 Nd 0.000 0.000 0.325
Cu1 Cu 0.500 0.500 0.170
Cu2 Cu 0.500 0.500 0.481
Cu3 Cu 0.500 0.500 0.819
O1 O 0.000 0.500 0.197
O2 O 0.000 0.500 0.455
O3 O 0.500 0.000 0.195
O4 O 0.500 0.000 0.458
O5 O 0.500 0.000 0.812
O6 O 0.500 0.500 0.660
O7 O 0.500 0.500 0.979
```

---

Record 5
An optimized crystal structure of Ba6Nd2YCu12O24. Source: Materials Project, functional GGA-PBE.

## Properties
**Total magnetization**: 0.00 μB/f.u.
**Offset from the most stable computed form**: 7.1 meV per atom
**Formation energy from the elements**: -2.022 eV/atom

The structure in CIF format:
```
data_Ba6Nd2YCu12O24
_cell_length_a 11.739
_cell_length_b 3.920
_cell_length_c 13.958
_cell_angle_alpha 90.00
_cell_angle_beta 98.00
_cell_angle_gamma 90.00
_space_group_name_H-M_alt 'P 1 2/m 1'
_space_group_IT_number 10
loop_
_space_group_symop_operation_xyz
'x,y,z'
'-x,-y,-z'
'-x,y,-z'
'x,-y,z'
loop_
_atom_site_label
_atom_site_type_symbol
_atom_site_fract_x
_atom_site_fract_y
_atom_site_fract_z
Ba1 Ba 0.046 0.000 0.272
Ba2 Ba 0.288 0.000 0.726
Ba3 Ba 0.379 0.000 0.273
Nd1 Nd 0.332 0.000 0.000
Y1 Y 0.000 0.000 0.000
Cu1 Cu 0.096 0.500 0.575
Cu2 Cu 0.144 0.500 0.873
Cu3 Cu 0.186 0.500 0.127
Cu4 Cu 0.237 0.500 0.425
Cu5 Cu 0.429 0.500 0.575
Cu6 Cu 0.479 0.500 0.872
O1 O 0.017 0.500 0.104
O2 O 0.073 0.500 0.438
O3 O 0.117 0.500 0.709
O4 O 0.144 0.000 0.892
O5 O 0.179 0.000 0.108
O6 O 0.215 0.500 0.291
O7 O 0.260 0.500 0.562
O8 O 0.314 0.500 0.890
O9 O 0.351 0.500 0.110
O10 O 0.406 0.500 0.438
O11 O 0.451 0.500 0.708
O12 O 0.482 0.000 0.889
```

---

Record 6
An optimized crystal structure of Ba6Nd2YCu12O24. Source: Materials Project, functional GGA-PBE.

## Properties
**Total magnetization**: 0.00 μB/f.u.
**Offset from the most stable computed form**: 0.0 meV per atom
**Formation energy from the elements**: -2.029 eV/atom

The structure in CIF format:
```
data_Ba6Nd2YCu12O24
_cell_length_a 3.911
_cell_length_b 82.808
_cell_length_c 3.941
_cell_angle_alpha 90.00
_cell_angle_beta 90.00
_cell_angle_gamma 90.00
_space_group_name_H-M_alt 'C m m m'
_space_group_IT_number 65
_space_group_name_Hall '-C 2 2'
loop_
_atom_site_label
_atom_site_type_symbol
_atom_site_fract_x
_atom_site_fract_y
_atom_site_fract_z
Ba1 Ba 0.000 0.045 0.000
Ba2 Ba 0.000 0.288 0.000
Ba3 Ba 0.000 0.379 0.000
Nd1 Nd 0.000 0.333 0.000
Y1 Y 0.000 0.000 0.000
Cu1 Cu 0.000 0.096 0.500
Cu2 Cu 0.000 0.145 0.500
Cu3 Cu 0.000 0.188 0.500
Cu4 Cu 0.000 0.238 0.500
Cu5 Cu 0.000 0.429 0.500
Cu6 Cu 0.000 0.479 0.500
O1 O 0.000 0.017 0.500
O2 O 0.000 0.073 0.500
O3 O 0.000 0.118 0.500
O4 O 0.000 0.148 0.000
O5 O 0.000 0.185 0.000
O6 O 0.000 0.215 0.500
O7 O 0.000 0.260 0.500
O8 O 0.000 0.315 0.500
O9 O 0.000 0.352 0.500
O10 O 0.000 0.406 0.500
O11 O 0.000 0.452 0.500
O12 O 0.000 0.482 0.000
```

---

Record 7
An optimized crystal structure of BaCu3NiSe4. Source: Materials Project, functional GGA-PBE.

## Properties
**Total magnetization**: 3.00 μB/f.u.
**Formation energy from the elements**: -0.598 eV/atom

The structure in CIF format:
```
data_BaCu3NiSe4
_cell_length_a 6.147
_cell_length_b 6.147
_cell_length_c 6.147
_cell_angle_alpha 90.00
_cell_angle_beta 90.00
_cell_angle_gamma 90.00
_space_group_name_H-M_alt 'P -4 3 m'
_space_group_IT_number 215
_space_group_name_Hall 'P -4 2 3'
loop_
_atom_site_label
_atom_site_type_symbol
_atom_site_fract_x
_atom_site_fract_y
_atom_site_fract_z
Ba1 Ba 0.000 0.000 0.000
Cu1 Cu 0.000 0.500 0.500
Ni1 Ni 0.500 0.500 0.500
Se1 Se 0.284 0.284 0.716
```

---

Record 8
An optimized crystal structure of BaCu4O4. Source: Materials Project, functional GGA-PBE.

## Properties
**Total magnetization**: 1.96 μB/f.u.
**Formation energy from the elements**: -1.291 eV/atom

The structure in CIF format:
```
data_BaCu4O4
_cell_length_a 6.639
_cell_length_b 6.639
_cell_length_c 6.286
_cell_angle_alpha 90.00
_cell_angle_beta 90.00
_cell_angle_gamma 90.00
_space_group_name_H-M_alt 'P 4/n b m'
_space_group_IT_number 125
loop_
_space_group_symop_operation_xyz
'x,y,z'
'-x,-y,-z'
'-y+1/2,x,z'
'y+1/2,-x,-z'
'-x+1/2,-y+1/2,z'
'x+1/2,y+1/2,-z'
'y,-x+1/2,z'
'-y,x+1/2,-z'
'x,-y+1/2,-z'
'-x,y+1/2,z'
'-y+1/2,-x+1/2,-z'
'y+1/2,x+1/2,z'
'-x+1/2,y,-z'
'x+1/2,-y,z'
'y,x,-z'
'-y,-x,z'
loop_
_atom_site_label
_atom_site_type_symbol
_atom_site_fract_x
_atom_site_fract_y
_atom_site_fract_z
Ba1 Ba 0.250 0.250 0.000
Cu1 Cu 0.000 0.000 0.500
Cu2 Cu 0.250 0.750 0.258
O1 O 0.059 0.559 0.228
```

---

Record 9
An optimized crystal structure of Ba10Cu5O17. Source: Materials Project, functional GGA-PBE.

## Properties
**Formation energy from the elements**: -2.212 eV/atom

The structure in CIF format:
```
data_Ba10Cu5O17
_cell_length_a 5.788
_cell_length_b 9.084
_cell_length_c 10.821
_cell_angle_alpha 93.78
_cell_angle_beta 92.08
_cell_angle_gamma 106.91
_space_group_name_H-M_alt 'P -1'
_space_group_IT_number 2
loop_
_space_group_symop_operation_xyz
'x,y,z'
'-x,-y,-z'
loop_
_atom_site_label
_atom_site_type_symbol
_atom_site_fract_x
_atom_site_fract_y
_atom_site_fract_z
Ba1 Ba 0.031 0.030 0.185
Ba2 Ba 0.196 0.372 0.411
Ba3 Ba 0.221 0.429 0.783
Ba4 Ba 0.397 0.773 0.012
Ba5 Ba 0.409 0.825 0.381
Cu1 Cu 0.000 0.000 0.500
Cu2 Cu 0.204 0.398 0.101
Cu3 Cu 0.388 0.794 0.704
O1 O 0.082 0.693 0.807
O2 O 0.090 0.178 0.618
O3 O 0.095 0.228 0.973
O4 O 0.276 0.585 0.211
O5 O 0.278 0.085 0.415
O6 O 0.290 0.632 0.574
O7 O 0.404 0.296 0.204
O8 O 0.459 0.982 0.809
O9 O 0.500 0.500 0.000
```

---

Record 10
An optimized crystal structure of BaCu2O2. Source: Materials Project, functional GGA-PBE.

## Properties
**Formation energy from the elements**: -1.617 eV/atom

The structure in CIF format:
```
data_BaCu2O2
_cell_length_a 5.797
_cell_length_b 5.797
_cell_length_c 10.149
_cell_angle_alpha 90.00
_cell_angle_beta 90.00
_cell_angle_gamma 90.00
_space_group_name_H-M_alt 'I 41/a m d'
_space_group_IT_number 141
loop_
_space_group_symop_operation_xyz
'x,y,z'
'-x,-y,-z'
'-y+1/4,x+3/4,z+1/4'
'y+1/4,-x+3/4,-z+1/4'
'-x+1/2,-y,z+1/2'
'x+1/2,y,-z+1/2'
'y+1/4,-x+1/4,z+3/4'
'-y+1/4,x+1/4,-z+3/4'
'x,-y,-z'
'-x,y,z'
'-y+1/4,-x+1/4,-z+3/4'
'y+1/4,x+1/4,z+3/4'
'-x+1/2,y,-z+1/2'
'x+1/2,-y,z+1/2'
'y+1/4,x+3/4,-z+1/4'
'-y+1/4,-x+3/4,z+1/4'
'x+1/2,y+1/2,z+1/2'
'-x+1/2,-y+1/2,-z+1/2'
'-y+3/4,x+1/4,z+3/4'
'y+3/4,-x+1/4,-z+3/4'
'-x,-y+1/2,z'
'x,y+1/2,-z'
'y+3/4,-x+3/4,z+1/4'
'-y+3/4,x+3/4,-z+1/4'
'x+1/2,-y+1/2,-z+1/2'
'-x+1/2,y+1/2,z+1/2'
'-y+3/4,-x+3/4,-z+1/4'
'y+3/4,x+3/4,z+1/4'
'-x,y+1/2,-z'
'x,-y+1/2,z'
'y+3/4,x+1/4,-z+3/4'
'-y+3/4,-x+1/4,z+3/4'
loop_
_atom_site_label
_atom_site_type_symbol
_atom_site_fract_x
_atom_site_fract_y
_atom_site_fract_z
Ba1 Ba 0.000 0.250 0.375
Cu1 Cu 0.000 0.000 0.000
O1 O 0.000 0.250 0.113
```